# 1
This record from Materials Project describes an optimized crystal structure of ScAu2. The functional is PBE.

Results
**Formation energy**: -0.819 eV per atom

a = 3.564 Å, b = 3.564 Å, c = 8.870 Å
α = 90.00°, β = 90.00°, γ = 90.00°
Sites, in units of the cell vectors:
Sc1 0.000 0.000 0.000
Sc2 0.500 0.500 0.500
Au1 0.000 0.000 0.337
Au2 0.000 0.000 0.663
Au3 0.500 0.500 0.163
Au4 0.500 0.500 0.837

=====

# 2
This record from Materials Project describes an optimized crystal structure of CaU2Si2O17. The functional is PBE.

Results
**Excess energy over the best structure of this formula in the dataset**: 0.0 kJ per mole of atoms
**Total energy after the MP2020 corrections**: -7.461 eV per atom
**Formation energy**: -2.027 eV per atom

a = 6.765 Å, b = 14.354 Å, c = 14.080 Å
α = 90.00°, β = 90.76°, γ = 90.00°
Sites, in units of the cell vectors:
Ca1 0.247 0.028 0.293
Ca2 0.247 0.472 0.793
Ca3 0.753 0.528 0.207
Ca4 0.753 0.972 0.707
U1 0.013 0.731 0.782
U2 0.013 0.769 0.282
U3 0.263 0.245 0.469
U4 0.263 0.255 0.969
U5 0.737 0.745 0.031
U6 0.737 0.755 0.531
U7 0.987 0.231 0.718
U8 0.987 0.269 0.218
Si1 0.199 0.719 0.529
Si2 0.199 0.781 0.029
Si3 0.455 0.185 0.724
Si4 0.455 0.315 0.224
Si5 0.545 0.685 0.776
Si6 0.545 0.815 0.276
Si7 0.801 0.219 0.971
Si8 0.801 0.281 0.471
O1 0.039 0.141 0.225
O2 0.039 0.359 0.725
O3 0.048 0.602 0.793
O4 0.048 0.898 0.293
O5 0.053 0.747 0.442
O6 0.053 0.753 0.942
O7 0.059 0.723 0.620
O8 0.059 0.777 0.120
O9 0.194 0.547 0.126
O10 0.194 0.953 0.626
O11 0.206 0.537 0.577
O12 0.206 0.963 0.077
O13 0.226 0.122 0.431
O14 0.226 0.378 0.931
O15 0.248 0.593 0.509
O16 0.248 0.907 0.009
O17 0.283 0.132 0.998
O18 0.283 0.368 0.498
O19 0.302 0.024 0.840
O20 0.302 0.476 0.340
O21 0.304 0.203 0.632
O22 0.304 0.297 0.132
O23 0.308 0.225 0.809
O24 0.308 0.275 0.309
O25 0.331 0.587 0.168
O26 0.331 0.913 0.668
O27 0.335 0.742 0.784
O28 0.335 0.758 0.284
O29 0.413 0.736 0.031
O30 0.413 0.764 0.531
O31 0.460 0.527 0.972
O32 0.460 0.973 0.472
O33 0.487 0.575 0.758
O34 0.487 0.925 0.258
O35 0.513 0.075 0.742
O36 0.513 0.425 0.242
O37 0.540 0.027 0.528
O38 0.540 0.473 0.028
O39 0.587 0.236 0.469
O40 0.587 0.264 0.969
O41 0.665 0.242 0.716
O42 0.665 0.258 0.216
O43 0.669 0.087 0.332
O44 0.669 0.413 0.832
O45 0.692 0.725 0.691
O46 0.692 0.775 0.191
O47 0.696 0.703 0.868
O48 0.696 0.797 0.368
O49 0.698 0.524 0.660
O50 0.698 0.976 0.160
O51 0.717 0.632 0.502
O52 0.717 0.868 0.002
O53 0.752 0.093 0.991
O54 0.752 0.407 0.491
O55 0.774 0.622 0.069
O56 0.774 0.878 0.569
O57 0.794 0.037 0.923
O58 0.794 0.463 0.423
O59 0.806 0.047 0.374
O60 0.806 0.453 0.874
O61 0.941 0.223 0.880
O62 0.941 0.277 0.380
O63 0.947 0.247 0.058
O64 0.947 0.253 0.558
O65 0.952 0.102 0.707
O66 0.952 0.398 0.207
O67 0.961 0.641 0.275
O68 0.961 0.859 0.775

=====

# 3
This record from Materials Project describes an optimized crystal structure of TiMnSb. The functional is PBE.

Results
**Total energy after the MP2020 corrections**: -7.315 eV per atom
**Formation energy**: -0.253 eV per atom

a = 4.575 Å, b = 4.575 Å, c = 5.633 Å
α = 90.00°, β = 90.00°, γ = 120.00°
Sites, in units of the cell vectors:
Ti1 0.000 0.000 0.000
Ti2 0.000 0.000 0.500
Mn1 0.333 0.667 0.250
Mn2 0.667 0.333 0.750
Sb1 0.333 0.667 0.750
Sb2 0.667 0.333 0.250

=====

# 4
This record from Materials Project describes an optimized crystal structure of LiO. The functional is PBE.

Results
**Excess energy over the best structure of this formula in the dataset**: 13.8 kJ per mole of atoms
**Total energy after the MP2020 corrections**: -4.936 eV per atom
**Formation energy**: -1.507 eV per atom

a = 3.336 Å, b = 3.336 Å, c = 7.900 Å
α = 90.00°, β = 90.00°, γ = 120.00°
Sites, in units of the cell vectors:
Li1 0.333 0.667 0.102
Li2 0.333 0.667 0.398
Li3 0.667 0.333 0.602
Li4 0.667 0.333 0.898
O1 0.333 0.667 0.654
O2 0.333 0.667 0.846
O3 0.667 0.333 0.154
O4 0.667 0.333 0.346

=====

- What is the formula in the first record?
  ScAu2